1.
RbOsO3, optimized geometry, DFT PBE-GGA; symmetry = No. 221
1.0
3.9741 0.0000 0.0000
0.0000 3.9741 0.0000
0.0000 0.0000 3.9741
Rb Os O
1 1 3
Direct
0.0000 0.0000 0.0000
0.5000 0.5000 0.5000
0.0000 0.5000 0.5000
0.5000 0.0000 0.5000
0.5000 0.5000 0.0000

---

2.
RbOsO3, optimized geometry, DFT PBE-GGA; symmetry = No. 148
1.0
2.7649 1.5963 6.2523
-2.7649 1.5963 6.2523
0.0000 -3.1927 6.2523
Rb Os O
2 2 6
Direct
0.1357 0.1357 0.1357
0.8643 0.8643 0.8643
0.3342 0.3342 0.3342
0.6658 0.6658 0.6658
0.0551 0.6481 0.4682
0.3519 0.5318 0.9449
0.4682 0.0551 0.6481
0.5318 0.9449 0.3519
0.6481 0.4682 0.0551
0.9449 0.3519 0.5318

---

3.
Sr2ScOsO6, optimized geometry, DFT PBE-GGA; symmetry = No. 225
1.0
0.0000 4.0476 4.0476
4.0476 0.0000 4.0476
4.0476 4.0476 0.0000
Sr Sc Os O
2 1 1 6
Direct
0.2500 0.2500 0.2500
0.7500 0.7500 0.7500
0.0000 0.0000 0.0000
0.5000 0.5000 0.5000
0.2565 0.2565 0.7435
0.2565 0.7435 0.2565
0.2565 0.7435 0.7435
0.7435 0.2565 0.2565
0.7435 0.2565 0.7435
0.7435 0.7435 0.2565

---

4.
Sm3OsO7, optimized geometry, DFT PBE-GGA; symmetry = No. 63
1.0
5.4015 -3.7399 0.0000
5.4015 3.7399 0.0000
0.0000 0.0000 7.5466
Sm Os O
6 2 14
Direct
0.0000 0.0000 0.0000
0.0000 0.0000 0.5000
0.0736 0.4778 0.7500
0.4778 0.0736 0.2500
0.5222 0.9264 0.7500
0.9264 0.5222 0.2500
0.5000 0.5000 0.0000
0.5000 0.5000 0.5000
0.1090 0.1560 0.2500
0.1560 0.1090 0.7500
0.1853 0.5616 0.0377
0.1853 0.5616 0.4623
0.4138 0.5862 0.7500
0.4384 0.8147 0.0377
0.4384 0.8147 0.4623
0.5616 0.1853 0.5377
0.5616 0.1853 0.9623
0.5862 0.4138 0.2500
0.8147 0.4384 0.5377
0.8147 0.4384 0.9623
0.8440 0.8910 0.2500
0.8910 0.8440 0.7500

---

Number 1: calculated total energy -0.47909 Ry per atom, energy of formation -1520 meV per atom. Number 2: calculated total energy -0.48575 Ry per atom, energy of formation -1611 meV per atom. Number 3: calculated total energy -0.55455 Ry per atom, energy of formation -2895 meV per atom. Number 4: calculated total energy -0.59930 Ry per atom, energy of formation -3135 meV per atom.